Entry from the Materials Project database: a relaxed structure of NaSmS2 (PBE-GGA).

Cell lengths 4.0745, 4.0745, 7.1083 Å; angles 73.35, 73.35, 60.00 degrees
Fractional positions:
S 0.7434 0.7434 0.7698
S 0.2566 0.2566 0.2302
Sm 0.0000 0.0000 0.0000
Na 0.5000 0.5000 0.5000

DFT formation energy (meV per atom): -2062
Total energy (eV per atom): -5.389